Record 1
First-principles (meta-GGA r2SCAN) data for an optimized crystal structure of PuBr3, as listed in Materials Project.

Values from the calculation:
The calculation puts the size of the total moment at 5.00 μB/f.u. The total DFT energy (no corrections) comes out at -33.52 eV per atom. The calculation puts the formation enthalpy at 0 K at -1.99 eV/atom.

abc: 13.193 4.098 9.200
angles: 90.00 90.46 90.00
Space group C2/m (No. 12)
Symmetry-distinct sites (fractional):
Pu (0.240, 0.000, 0.248)
Br (0.085, 0.500, 0.251)
Br (0.149, 0.000, 0.567)
Br (0.150, 0.000, 0.933)

=====

Record 2
First-principles (meta-GGA r2SCAN) data for an optimized crystal structure of LiDy2Os, as listed in Materials Project.

Values from the calculation:
The calculation puts the size of the total moment at 0.00 μB/f.u. The total DFT energy (no corrections) comes out at -30.12 eV per atom. The calculation puts the formation enthalpy at 0 K at -0.28 eV/atom.

abc: 6.888 6.888 6.888
angles: 90.00 90.00 90.00
Space group Fm-3m (No. 225)
Symmetry-distinct sites (fractional):
Li (0.000, 0.000, 0.000)
Dy (0.250, 0.250, 0.250)
Os (0.000, 0.000, 0.500)

=====

Record 3
First-principles (meta-GGA r2SCAN) data for an optimized crystal structure of Cs2HgCl4, as listed in Materials Project.

Values from the calculation:
The calculation puts the size of the total moment at 0.00 μB/f.u. The total DFT energy (no corrections) comes out at -19.33 eV per atom. The calculation puts the formation enthalpy at 0 K at -1.58 eV/atom.

abc: 9.800 7.565 27.446
angles: 90.00 91.21 90.00
Space group P2_1/c (No. 14)
Symmetry-distinct sites (fractional):
Cs (0.007, 0.245, 0.154)
Cs (0.121, 0.724, 0.061)
Cs (0.385, 0.250, 0.287)
Cs (0.487, 0.711, 0.412)
Hg (0.199, 0.735, 0.215)
Hg (0.284, 0.220, 0.460)
Cl (0.039, 0.138, 0.279)
Cl (0.172, 0.193, 0.039)
Cl (0.176, 0.576, 0.942)
Cl (0.197, 0.088, 0.891)
Cl (0.299, 0.511, 0.670)
Cl (0.318, 0.016, 0.668)
Cl (0.330, 0.749, 0.796)
Cl (0.464, 0.742, 0.040)

=====

Record 4
First-principles (meta-GGA r2SCAN) data for an optimized crystal structure of Ti2H3, as listed in Materials Project.

Values from the calculation:
The calculation puts the size of the total moment at 0.00 μB/f.u. The total DFT energy (no corrections) comes out at -7.73 eV per atom. The calculation puts the formation enthalpy at 0 K at -0.48 eV/atom.

abc: 4.343 4.343 4.386
angles: 90.00 90.00 90.00
Space group P4_2/mcm (No. 132)
Symmetry-distinct sites (fractional):
Ti (0.238, 0.238, 0.000)
H (0.000, 0.500, 0.250)
H (0.500, 0.500, 0.250)

=====

Record 5
First-principles (meta-GGA r2SCAN) data for an optimized crystal structure of Sr3GeO, as listed in Materials Project.

Values from the calculation:
The calculation puts the size of the total moment at 0.00 μB/f.u. The total DFT energy (no corrections) comes out at -14.63 eV per atom. The calculation puts the formation enthalpy at 0 K at -1.58 eV/atom.

abc: 7.166 10.126 7.139
angles: 90.00 90.00 90.00
Space group Pnma (No. 62)
Symmetry-distinct sites (fractional):
Sr (0.010, 0.250, 0.059)
Sr (0.219, 0.031, 0.719)
Ge (0.025, 0.750, 0.495)
O (0.000, 0.000, 0.000)

=====

Record 6
First-principles (meta-GGA r2SCAN) data for an optimized crystal structure of ThHg2, as listed in Materials Project.

Values from the calculation:
The calculation puts the size of the total moment at 0.00 μB/f.u. The total DFT energy (no corrections) comes out at -57.75 eV per atom. The calculation puts the formation enthalpy at 0 K at -0.35 eV/atom.

abc: 4.8785 4.8785 7.5612
angles: 90.00 90.00 120.00
Space group P6_3/mmc (No. 194)
Symmetry-distinct sites (fractional):
Th (0.0000, 0.0000, 0.2500)
Hg (0.3333, 0.6667, 0.0439)

=====

Record 7
First-principles (meta-GGA r2SCAN) data for an optimized crystal structure of Nd4Si3S12, as listed in Materials Project.

Values from the calculation:
The calculation puts the size of the total moment at 0.00 μB/f.u. The total DFT energy (no corrections) comes out at -14.29 eV per atom. The calculation puts the formation enthalpy at 0 K at -1.64 eV/atom.

abc: 19.2041 19.2041 7.9549
angles: 90.00 90.00 120.00
Space group R3c (No. 161, hexagonal axes)
Symmetry-distinct sites (fractional):
Nd (0.0000, 0.0000, 0.0000)
Nd (0.0038, 0.2323, 0.2076)
Si (0.1476, 0.4672, 0.3236)
S (0.9998, 0.2677, 0.8497)
S (0.0836, 0.2016, 0.5071)
S (0.1256, 0.0609, 0.7494)
S (0.1532, 0.3808, 0.1684)

=====

Record 8
First-principles (meta-GGA r2SCAN) data for an optimized crystal structure of Tm2MnOs, as listed in Materials Project.

Values from the calculation:
The calculation puts the size of the total moment at 3.60 μB/f.u. The total DFT energy (no corrections) comes out at -34.77 eV per atom. The calculation puts the formation enthalpy at 0 K at -0.30 eV/atom.

abc: 6.836 6.836 6.836
angles: 90.00 90.00 90.00
Space group Fm-3m (No. 225)
Symmetry-distinct sites (fractional):
Tm (0.250, 0.250, 0.250)
Mn (0.000, 0.000, 0.000)
Os (0.000, 0.000, 0.500)

=====

Record 9
First-principles (meta-GGA r2SCAN) data for an optimized crystal structure of LuPPd, as listed in Materials Project.

Values from the calculation:
The calculation puts the size of the total moment at 0.00 μB/f.u. The total DFT energy (no corrections) comes out at -24.71 eV per atom. The calculation puts the formation enthalpy at 0 K at -1.37 eV/atom.

abc: 6.796 3.921 7.655
angles: 90.00 90.00 90.00
Space group Pnma (No. 62)
Symmetry-distinct sites (fractional):
Lu (0.034, 0.250, 0.187)
P (0.244, 0.250, 0.876)
Pd (0.148, 0.250, 0.562)

=====

Record 10
First-principles (meta-GGA r2SCAN) data for an optimized crystal structure of NaYbO3, as listed in Materials Project.

Values from the calculation:
The calculation puts the size of the total moment at 2.00 μB/f.u. The total DFT energy (no corrections) comes out at -13.60 eV per atom. The calculation puts the formation enthalpy at 0 K at -1.99 eV/atom.

abc: 4.311 4.311 4.311
angles: 90.00 90.00 90.00
Space group Pm-3m (No. 221)
Symmetry-distinct sites (fractional):
Na (0.000, 0.000, 0.000)
Yb (0.500, 0.500, 0.500)
O (0.000, 0.500, 0.500)

=====

Record 11
First-principles (meta-GGA r2SCAN) data for an optimized crystal structure of Be3Ni, as listed in Materials Project.

Values from the calculation:
The calculation puts the energy above the most stable polymorph in this dataset at 0.00 eV/f.u. The calculation puts the size of the total moment at 0.00 μB/f.u. The total DFT energy (no corrections) comes out at -6.54 eV per atom. The calculation puts the formation enthalpy at 0 K at -0.29 eV/atom.

abc: 3.139 3.139 6.809
angles: 90.00 90.00 90.00
Space group I4/mmm (No. 139)
Symmetry-distinct sites (fractional):
Be (0.000, 0.000, 0.000)
Be (0.000, 0.500, 0.250)
Ni (0.000, 0.000, 0.500)

=====

Record 12
First-principles (meta-GGA r2SCAN) data for an optimized crystal structure of CaP4H2O12, as listed in Materials Project.

Values from the calculation:
The calculation puts the size of the total moment at 0.00 μB/f.u. The total DFT energy (no corrections) comes out at -8.72 eV per atom. The calculation puts the formation enthalpy at 0 K at -2.32 eV/atom.

abc: 5.694 9.676 8.838
angles: 90.00 92.41 90.00
Space group P2_1/c (No. 14)
Symmetry-distinct sites (fractional):
Ca (0.000, 0.000, 0.000)
P (0.287, 0.212, 0.302)
P (0.387, 0.722, 0.939)
H (0.193, 0.542, 0.830)
O (0.137, 0.194, 0.885)
O (0.181, 0.628, 0.896)
O (0.187, 0.085, 0.228)
O (0.328, 0.632, 0.457)
O (0.418, 0.196, 0.681)
O (0.499, 0.156, 0.411)

=====

Record 13
First-principles (meta-GGA r2SCAN) data for an optimized crystal structure of CeMgHg2, as listed in Materials Project.

Values from the calculation:
The calculation puts the size of the total moment at 0.98 μB/f.u. The total DFT energy (no corrections) comes out at -33.94 eV per atom. The calculation puts the formation enthalpy at 0 K at -0.50 eV/atom.

abc: 7.323 7.323 7.323
angles: 90.00 90.00 90.00
Space group Fm-3m (No. 225)
Symmetry-distinct sites (fractional):
Ce (0.000, 0.000, 0.000)
Mg (0.000, 0.000, 0.500)
Hg (0.250, 0.250, 0.250)

=====

Record 14
First-principles (meta-GGA r2SCAN) data for an optimized crystal structure of Al2O3, as listed in Materials Project.

Values from the calculation:
The calculation puts the size of the total moment at 0.00 μB/f.u. The total DFT energy (no corrections) comes out at -9.53 eV per atom. The calculation puts the formation enthalpy at 0 K at -3.26 eV/atom.

abc: 5.547 5.557 9.242
angles: 79.15 81.20 60.16
Space group P1 (No. 1)
Symmetry-distinct sites (fractional):
Al (0.000, 0.000, 0.000)
Al (0.005, 0.480, 0.004)
Al (0.080, 0.658, 0.302)
Al (0.190, 0.735, 0.736)
Al (0.408, 0.432, 0.509)
Al (0.425, 0.950, 0.489)
Al (0.494, 0.923, 0.194)
Al (0.511, 0.484, 0.002)
Al (0.528, 0.039, 0.810)
Al (0.899, 0.391, 0.674)
O (0.084, 0.575, 0.622)
O (0.097, 0.061, 0.616)
O (0.151, 0.639, 0.105)
O (0.164, 0.126, 0.103)
O (0.291, 0.305, 0.380)
O (0.301, 0.766, 0.365)
O (0.341, 0.385, 0.870)
O (0.345, 0.840, 0.870)
O (0.553, 0.584, 0.610)
O (0.560, 0.086, 0.614)
O (0.656, 0.131, 0.094)
O (0.664, 0.621, 0.100)
O (0.725, 0.812, 0.349)
O (0.858, 0.352, 0.875)
O (0.878, 0.845, 0.868)

=====

Record 15
First-principles (meta-GGA r2SCAN) data for an optimized crystal structure of CeNbO4, as listed in Materials Project.

Values from the calculation:
The calculation puts the size of the total moment at 1.00 μB/f.u. The total DFT energy (no corrections) comes out at -16.56 eV per atom. The calculation puts the formation enthalpy at 0 K at -3.31 eV/atom.

abc: 5.383 5.384 6.887
angles: 67.06 67.02 89.98
Space group P-1 (No. 2)
Symmetry-distinct sites (fractional):
Ce (0.124, 0.375, 0.250)
Nb (0.375, 0.125, 0.750)
O (0.118, 0.792, 0.925)
O (0.218, 0.381, 0.575)
O (0.293, 0.956, 0.425)
O (0.456, 0.282, 0.925)

=====

Record 16
First-principles (meta-GGA r2SCAN) data for an optimized crystal structure of HoAl4Ni, as listed in Materials Project.

Values from the calculation:
The calculation puts the size of the total moment at 0.00 μB/f.u. The total DFT energy (no corrections) comes out at -12.55 eV per atom. The calculation puts the formation enthalpy at 0 K at -0.59 eV/atom.

abc: 4.038 15.275 6.549
angles: 90.00 90.00 90.00
Space group Cmcm (No. 63)
Symmetry-distinct sites (fractional):
Ho (0.000, 0.118, 0.250)
Al (0.000, 0.076, 0.750)
Al (0.000, 0.311, 0.053)
Al (0.000, 0.500, 0.000)
Ni (0.000, 0.226, 0.750)

=====

Record 17
First-principles (meta-GGA r2SCAN) data for an optimized crystal structure of LaYb3, as listed in Materials Project.

Values from the calculation:
The calculation puts the size of the total moment at 0.00 μB/f.u. The total DFT energy (no corrections) comes out at -34.76 eV per atom. The calculation puts the formation enthalpy at 0 K at 0.07 eV/atom.

abc: 7.988 7.988 7.988
angles: 90.00 90.00 90.00
Space group Fm-3m (No. 225)
Symmetry-distinct sites (fractional):
La (0.000, 0.000, 0.000)
Yb (0.000, 0.000, 0.500)
Yb (0.250, 0.250, 0.250)

=====

Record 18
First-principles (meta-GGA r2SCAN) data for an optimized crystal structure of Y2ZnHg, as listed in Materials Project.

Values from the calculation:
The calculation puts the size of the total moment at 0.00 μB/f.u. The total DFT energy (no corrections) comes out at -25.20 eV per atom. The calculation puts the formation enthalpy at 0 K at -0.48 eV/atom.

abc: 7.284 7.284 7.284
angles: 90.00 90.00 90.00
Space group Fm-3m (No. 225)
Symmetry-distinct sites (fractional):
Y (0.250, 0.250, 0.250)
Zn (0.000, 0.000, 0.000)
Hg (0.000, 0.000, 0.500)

=====

Record 19
First-principles (meta-GGA r2SCAN) data for an optimized crystal structure of Hf2IrRh, as listed in Materials Project.

Values from the calculation:
The calculation puts the size of the total moment at 0.00 μB/f.u. The total DFT energy (no corrections) comes out at -42.69 eV per atom. The calculation puts the formation enthalpy at 0 K at -0.99 eV/atom.

abc: 6.510 6.510 6.510
angles: 90.00 90.00 90.00
Space group Fm-3m (No. 225)
Symmetry-distinct sites (fractional):
Hf (0.250, 0.250, 0.250)
Ir (0.000, 0.000, 0.000)
Rh (0.000, 0.000, 0.500)